The following is a PBE calculation of Ag2B8O13 after structural relaxation, from the Materials Project database.

* ΔH_f (0 K): -57.595 eV per formula unit
* electronic total energy: -7.482 eV/atom
* total magnetization: 0.00 μB per formula unit
* excess energy over the best structure of this formula in the dataset: 7 meV per atom

Lattice parameters (Å, degrees): 8.481 10.735 11.589 101.09 90.00 90.00
Positions (direct):
O 0.413 0.143 0.765
O 0.836 0.330 0.587
B 0.456 0.198 0.328
O 0.693 0.398 0.960
O 0.588 0.857 0.235
O 0.735 0.739 0.073
B 0.072 0.892 0.243
B 0.886 0.895 0.401
B 0.320 0.053 0.440
O 0.266 0.261 0.927
B 0.670 0.281 0.996
O 0.111 0.771 0.246
B 0.094 0.066 0.125
O 0.034 0.863 0.835
B 0.504 0.960 0.290
Ag 0.914 0.194 0.385
Ag 0.414 0.306 0.615
B 0.614 0.394 0.400
O 0.388 0.271 0.245
B 0.820 0.447 0.560
O 0.909 0.770 0.397
O 0.477 0.923 0.740
O 0.960 0.709 0.955
O 0.766 0.239 0.073
B 0.179 0.553 0.440
B 0.114 0.106 0.600
B 0.906 0.934 0.875
B 0.423 0.241 0.873
O 0.284 0.529 0.525
Ag 0.368 0.961 0.926
O 0.409 0.730 0.603
B 0.923 0.259 0.127
O 0.466 0.363 0.835
B 0.594 0.434 0.875
B 0.042 0.698 0.328
O 0.966 0.137 0.165
O 0.040 0.291 0.045
O 0.036 0.042 0.677
O 0.135 0.954 0.158
B 0.542 0.802 0.672
B 0.429 0.391 0.242
O 0.469 0.540 0.674
O 0.969 0.960 0.326
Ag 0.633 0.038 0.075
B 0.578 0.759 0.128
O 0.977 0.577 0.260
O 0.586 0.270 0.401
Ag 0.624 0.685 0.382
B 0.004 0.540 0.710
B 0.406 0.566 0.125
B 0.170 0.219 0.004
O 0.904 0.552 0.617
O 0.218 0.029 0.526
B 0.386 0.605 0.599
B 0.929 0.109 0.758
O 0.160 0.671 0.415
O 0.088 0.643 0.765
O 0.913 0.357 0.235
O 0.365 0.454 0.159
Ag 0.133 0.462 0.925
O 0.522 0.077 0.260
Ag 0.868 0.539 0.074
O 0.660 0.829 0.585
B 0.956 0.302 0.672
O 0.460 0.791 0.045
O 0.611 0.729 0.754
O 0.534 0.637 0.165
B 0.078 0.741 0.872
B 0.331 0.720 0.005
O 0.193 0.102 0.040
O 0.635 0.546 0.842
Ag 0.124 0.815 0.618
O 0.235 0.761 0.927
B 0.572 0.608 0.757
O 0.022 0.423 0.740
O 0.718 0.471 0.474
O 0.336 0.170 0.413
O 0.307 0.603 0.040
B 0.996 0.459 0.290
O 0.807 0.897 0.960
O 0.865 0.046 0.841
O 0.597 0.053 0.618
O 0.540 0.209 0.955
O 0.536 0.458 0.323
O 0.097 0.447 0.382
B 0.831 0.780 0.995
B 0.679 0.947 0.560
O 0.404 0.948 0.383
B 0.496 0.041 0.710
O 0.784 0.971 0.475
O 0.086 0.230 0.599
O 0.888 0.229 0.755